## K2MnF6 (r2SCAN)

Data for a geometry-optimized K2MnF6 structure.

Lattice parameters (Å, degrees): 5.7058 5.7058 5.7058 60.00 60.00 60.00
Closest atoms and distances in Å follow each position.
Positions (direct):
K  0.2500  0.2500  0.2500  12 F 2.86
K  0.7500  0.7500  0.7500  12 F 2.86
Mn  0.0000  0.0000  0.0000  6 F 1.81
F  0.2247  0.2247  0.7753  1 Mn 1.81
F  0.2247  0.7753  0.2247  1 Mn 1.81
F  0.2247  0.7753  0.7753  1 Mn 1.81
F  0.7753  0.2247  0.2247  1 Mn 1.81
F  0.7753  0.2247  0.7753  1 Mn 1.81
F  0.7753  0.7753  0.2247  1 Mn 1.81

Summary:
- Energy: -72.24 eV/cell
- Calculated formation energy: -2.97 eV per atom